VASP calculation (r2SCAN) on a relaxed structure of ZrF4.

Cell: 7.907 7.907 7.728 Å, 90.00 90.00 90.00°
Space group P4_2/m (No. 84)
Inequivalent atoms, fractional coordinates:
Zr  0.181  0.683  0.230 [8 per cell]
F  0.000  0.500  0.299 [4 per cell]
F  0.060  0.211  0.192 [8 per cell]
F  0.165  0.538  0.000 [4 per cell]
F  0.171  0.209  0.500 [4 per cell]
F  0.196  0.682  0.500 [4 per cell]
F  0.297  0.437  0.288 [8 per cell]

Output
total DFT energy (no corrections)	-11.078	eV per atom
M_tot	0.0	μB per cell
ΔE_f	-4.0274	eV per atom
V	12.08	Å³/atom